V6O7F5: relaxed, GGA+U.

Geometry as POSCAR:
```
V6O7F5
1.0
-1.9746 -5.2782 1.1586
2.6389 1.3308 5.3041
-5.2731 3.1225 0.4586
F O V
5 7 6
direct
0.3284 0.0912 0.9218 F
0.0618 0.6767 0.8820 F
0.9466 0.3480 0.1027 F
0.9018 0.0854 0.6851 F
0.6748 0.9065 0.0629 F
0.4034 0.5818 0.1760 O
0.5723 0.1714 0.4074 O
0.5798 0.4203 0.8265 O
0.1813 0.4196 0.5667 O
0.8139 0.5695 0.4188 O
0.0683 0.9021 0.3577 O
0.4367 0.8178 0.5842 O
0.1582 0.6185 0.3503 V
0.8482 0.3991 0.6610 V
0.3152 0.1317 0.5937 V
0.4021 0.6725 0.8506 V
0.5992 0.3237 0.1409 V
0.7008 0.8645 0.3900 V
```

Output
Total energy (eV/atom): -7.2364
Size of the total moment (μB/atom): 0.611
Energy of formation (eV per formula unit): -48.86